1.
Crystalline PrIn2Cl5 at its relaxed geometry. Source: the Materials Project, functional PBE.

Geometry as POSCAR:
```
PrIn2Cl5
1.0
13.009 0.000 0.000
0.000 8.896 0.000
0.000 0.000 8.234
Pr In Cl
4 8 20
direct
0.006 0.250 0.075
0.494 0.750 0.575
0.506 0.250 0.425
0.994 0.750 0.925
0.170 0.009 0.558
0.170 0.491 0.558
0.330 0.509 0.058
0.330 0.991 0.058
0.670 0.009 0.942
0.670 0.491 0.942
0.830 0.509 0.442
0.830 0.991 0.442
0.007 0.250 0.419
0.071 0.544 0.168
0.071 0.956 0.168
0.187 0.250 0.892
0.205 0.750 0.846
0.295 0.250 0.346
0.313 0.750 0.392
0.429 0.044 0.668
0.429 0.456 0.668
0.493 0.750 0.919
0.507 0.250 0.081
0.571 0.544 0.332
0.571 0.956 0.332
0.687 0.250 0.608
0.705 0.750 0.654
0.795 0.250 0.154
0.813 0.750 0.108
0.929 0.044 0.832
0.929 0.456 0.832
0.993 0.750 0.581
```

Computed properties:
Energy of formation: -1953 meV/atom
Total energy: -4.010 eV per atom

=====

2.
Crystalline Rb3InCl6 at its relaxed geometry. Source: the Materials Project, functional PBE.

Geometry as POSCAR:
```
Rb3InCl6
1.0
0.000 5.647 5.647
5.647 0.000 5.647
5.647 5.647 0.000
Rb In Cl
3 1 6
direct
0.000 0.000 0.000
0.250 0.250 0.250
0.750 0.750 0.750
0.500 0.500 0.500
0.275 0.275 0.725
0.275 0.725 0.275
0.275 0.725 0.725
0.725 0.275 0.275
0.725 0.275 0.725
0.725 0.725 0.275
```

Computed properties:
Energy of formation: -1979 meV/atom
Total energy: -3.289 eV per atom

=====

3.
Crystalline RbInCl3 at its relaxed geometry. Source: the Materials Project, functional PBE.

Geometry as POSCAR:
```
RbInCl3
1.0
3.851 -3.860 0.000
3.851 3.860 0.000
-0.022 0.000 5.453
Rb In Cl
1 1 3
direct
0.000 0.000 0.000
0.500 0.500 0.511
0.494 0.494 0.012
0.502 0.998 0.513
0.998 0.502 0.513
```

Computed properties:
Energy of formation: -1734 meV/atom
Total energy: -3.221 eV per atom

=====

4.
Crystalline RbInCl3 at its relaxed geometry. Source: the Materials Project, functional PBE.

Geometry as POSCAR:
```
RbInCl3
1.0
0.000 5.546 5.546
5.546 0.000 5.546
5.546 5.546 0.000
Rb In Cl
2 2 6
direct
0.250 0.250 0.250
0.750 0.750 0.750
0.000 0.000 0.000
0.500 0.500 0.500
0.231 0.231 0.769
0.231 0.769 0.231
0.231 0.769 0.769
0.769 0.231 0.231
0.769 0.231 0.769
0.769 0.769 0.231
```

Computed properties:
Energy of formation: -1771 meV/atom
Total energy: -3.258 eV per atom

=====

5.
Crystalline RbInCl3 at its relaxed geometry. Source: the Materials Project, functional PBE.

Geometry as POSCAR:
```
RbInCl3
1.0
3.849 2.222 6.284
-3.849 2.222 6.284
0.000 -4.445 6.284
Rb In Cl
2 2 6
direct
0.000 0.000 0.000
0.500 0.500 0.500
0.263 0.263 0.263
0.763 0.763 0.763
0.018 0.460 0.568
0.068 0.960 0.518
0.460 0.568 0.018
0.518 0.068 0.960
0.568 0.018 0.460
0.960 0.518 0.068
```

Computed properties:
Energy of formation: -1738 meV/atom
Total energy: -3.225 eV per atom

=====

6.
Crystalline RbInCl3 at its relaxed geometry. Source: the Materials Project, functional PBE.

Geometry as POSCAR:
```
RbInCl3
1.0
5.452 0.000 0.000
-0.003 5.453 0.000
-0.013 -0.028 5.453
Rb In Cl
1 1 3
direct
0.000 0.000 0.000
0.499 0.511 0.501
0.494 0.012 0.493
0.500 0.510 0.000
0.998 0.513 0.502
```

Computed properties:
Energy of formation: -1734 meV/atom
Total energy: -3.221 eV per atom

=====

7.
Crystalline Rb2YInCl6 at its relaxed geometry. Source: the Materials Project, functional PBE.

Geometry as POSCAR:
```
Rb2YInCl6
1.0
0.000 5.691 5.691
5.691 0.000 5.691
5.691 5.691 0.000
Rb Y In Cl
2 1 1 6
direct
0.250 0.250 0.250
0.750 0.750 0.750
0.000 0.000 0.000
0.500 0.500 0.500
0.232 0.232 0.768
0.232 0.768 0.232
0.232 0.768 0.768
0.768 0.232 0.232
0.768 0.232 0.768
0.768 0.768 0.232
```

Computed properties:
Energy of formation: -2222 meV/atom
Total energy: -4.080 eV per atom

=====

8.
Crystalline In5S5Cl at its relaxed geometry. Source: the Materials Project, functional PBE.

Geometry as POSCAR:
```
In5S5Cl
1.0
9.073 0.000 0.000
0.000 3.980 0.000
-1.061 0.000 15.284
In S Cl
10 10 2
direct
0.044 0.250 0.143
0.134 0.250 0.563
0.237 0.750 0.791
0.343 0.750 0.054
0.379 0.250 0.343
0.621 0.750 0.657
0.657 0.250 0.946
0.763 0.250 0.209
0.866 0.750 0.437
0.956 0.750 0.857
0.034 0.250 0.400
0.167 0.250 0.999
0.209 0.750 0.202
0.318 0.250 0.699
0.466 0.750 0.901
0.534 0.250 0.099
0.682 0.750 0.301
0.791 0.250 0.798
0.833 0.750 0.001
0.966 0.750 0.600
0.327 0.750 0.505
0.673 0.250 0.495
```

Computed properties:
Energy of formation: -865 meV/atom
Total energy: -3.880 eV per atom

=====

Repeat the fourth record exactly.
Crystalline RbInCl3 at its relaxed geometry. Source: the Materials Project, functional PBE.

Geometry as POSCAR:
```
RbInCl3
1.0
0.000 5.546 5.546
5.546 0.000 5.546
5.546 5.546 0.000
Rb In Cl
2 2 6
direct
0.250 0.250 0.250
0.750 0.750 0.750
0.000 0.000 0.000
0.500 0.500 0.500
0.231 0.231 0.769
0.231 0.769 0.231
0.231 0.769 0.769
0.769 0.231 0.231
0.769 0.231 0.769
0.769 0.769 0.231
```

Computed properties:
Energy of formation: -1771 meV/atom
Total energy: -3.258 eV per atom

=====

total energy of number 4 (RbInCl3)?
-3.258 eV per atom

=====

Repeat the sixth record exactly.
Crystalline RbInCl3 at its relaxed geometry. Source: the Materials Project, functional PBE.

Geometry as POSCAR:
```
RbInCl3
1.0
5.452 0.000 0.000
-0.003 5.453 0.000
-0.013 -0.028 5.453
Rb In Cl
1 1 3
direct
0.000 0.000 0.000
0.499 0.511 0.501
0.494 0.012 0.493
0.500 0.510 0.000
0.998 0.513 0.502
```

Computed properties:
Energy of formation: -1734 meV/atom
Total energy: -3.221 eV per atom

=====

Among the records above, which one has the lowest energy of formation?
Rb2YInCl6